Material: NaGa2Ge2P3S3O24
Method: DFT, PBE-GGA
State: relaxed

abc: 8.3898 8.3984 21.8707
angles: 89.92 89.93 60.05
Space group P1 (No. 1)
One atom of each set of equivalent atoms:
1 Na 0.0000 0.0000 0.0000
2 Na 0.0032 0.9873 0.5018
3 Na 0.3364 0.3296 0.6658
4 Ga 0.9999 0.0007 0.1457
5 Ga 0.0053 0.9870 0.3555
6 Ga 0.3320 0.3287 0.5217
7 Ga 0.3342 0.3179 0.0231
8 Ga 0.9910 0.0034 0.8494
9 Ga 0.9930 0.9836 0.6478
10 Ge 0.3237 0.3367 0.8128
11 Ge 0.3261 0.3254 0.3188
12 Ge 0.6576 0.6625 0.1845
13 Ge 0.6594 0.6779 0.4796
14 Ge 0.6649 0.6596 0.6886
15 Ge 0.6671 0.6511 0.9794
16 P 0.0400 0.6152 0.4187
17 P 0.0431 0.3272 0.9179
18 P 0.3324 0.0385 0.4182
19 P 0.3800 0.6618 0.5839
20 P 0.3809 0.9450 0.0829
21 P 0.6629 0.3728 0.0836
22 P 0.6640 0.9486 0.5846
23 P 0.7068 0.2875 0.7500
24 P 0.9947 0.7048 0.7511
25 S 0.2907 0.9926 0.7502
26 S 0.2919 0.6987 0.2503
27 S 0.3313 0.6182 0.9180
28 S 0.6220 0.0351 0.9174
29 S 0.6225 0.3301 0.4172
30 S 0.7053 0.9944 0.2504
31 S 0.9512 0.3731 0.5834
32 S 0.9527 0.6608 0.0840
33 S 0.9979 0.2888 0.2508
34 O 0.0189 0.8057 0.4093
35 O 0.0235 0.1563 0.9103
36 O 0.0363 0.1737 0.1958
37 O 0.0440 0.7757 0.6940
38 O 0.1214 0.4982 0.3586
39 O 0.1275 0.3651 0.8597
40 O 0.1336 0.3576 0.5787
41 O 0.1335 0.4977 0.0777
42 O 0.1604 0.0219 0.4091
43 O 0.1614 0.2938 0.9748
44 O 0.1636 0.5343 0.4741
45 O 0.1660 0.3058 0.2578
46 O 0.1687 0.8005 0.9106
47 O 0.1702 0.5090 0.7580
48 O 0.1767 0.0333 0.6952
49 O 0.1771 0.7775 0.1954
50 O 0.1921 0.8366 0.5898
51 O 0.1930 0.9577 0.0903
52 O 0.2153 0.8148 0.3046
53 O 0.2167 0.9574 0.8063
54 O 0.2952 0.1583 0.4741
55 O 0.2983 0.5378 0.9730
56 O 0.3112 0.1600 0.7575
57 O 0.3125 0.5130 0.2587
58 O 0.3621 0.4895 0.5778
59 O 0.3626 0.1325 0.0771
60 O 0.3722 0.5016 0.8621
61 O 0.3751 0.1161 0.3584
62 O 0.4659 0.6940 0.5250
63 O 0.4668 0.8212 0.0255
64 O 0.4747 0.8289 0.7438
65 O 0.4774 0.6821 0.2432
66 O 0.4908 0.1367 0.5779
67 O 0.4912 0.3597 0.0749
68 O 0.4998 0.6346 0.9236
69 O 0.5005 0.8649 0.1418
70 O 0.5012 0.6234 0.6417
71 O 0.5040 0.8464 0.4234
72 O 0.5070 0.1150 0.8617
73 O 0.5068 0.3668 0.3601
74 O 0.5124 0.3042 0.7598
75 O 0.5206 0.1623 0.2582
76 O 0.5454 0.1506 0.9723
77 O 0.5468 0.2896 0.4716
78 O 0.6295 0.4915 0.1421
79 O 0.6287 0.8623 0.6420
80 O 0.6374 0.8518 0.9249
81 O 0.6406 0.4939 0.4236
82 O 0.6842 0.4796 0.7413
83 O 0.6891 0.8255 0.2426
84 O 0.7067 0.8276 0.5263
85 O 0.7087 0.4540 0.0266
86 O 0.7850 0.0290 0.1952
87 O 0.7853 0.1689 0.6929
88 O 0.8038 0.1642 0.4086
89 O 0.8063 0.0142 0.9115
90 O 0.8204 0.2123 0.8080
91 O 0.8204 0.9584 0.3051
92 O 0.8256 0.6820 0.7413
93 O 0.8320 0.4744 0.2422
94 O 0.8355 0.7013 0.0285
95 O 0.8359 0.1837 0.0908
96 O 0.8360 0.9671 0.5885
97 O 0.8375 0.4518 0.5273
98 O 0.8503 0.6297 0.4258
99 O 0.8512 0.5038 0.9258
100 O 0.8745 0.4872 0.6394
101 O 0.8743 0.6242 0.1406
102 O 0.9605 0.2100 0.3051
103 O 0.9635 0.8172 0.8091
104 O 0.9677 0.8270 0.0909
105 O 0.9701 0.1906 0.5897

Material: Na3Ga2Ge2P5SO24
Method: DFT, PBE-GGA
State: relaxed

abc: 8.4687 8.4895 21.8744
angles: 89.89 89.61 60.11
Space group P1 (No. 1)
One atom of each set of equivalent atoms:
1 Na 0.0000 0.0000 0.0000
2 Na 0.0020 0.3637 0.7501
3 Na 0.0054 0.9880 0.5008
4 Na 0.3380 0.3332 0.1672
5 Na 0.3403 0.3307 0.6668
6 Na 0.3700 0.9955 0.2501
7 Na 0.6649 0.6685 0.8341
8 Na 0.6682 0.6617 0.3334
9 Na 0.9700 0.3306 0.4170
10 Ga 0.3365 0.3331 0.3137
11 Ga 0.3393 0.3216 0.8134
12 Ga 0.6608 0.6611 0.4814
13 Ga 0.6640 0.6587 0.6859
14 Ga 0.6649 0.6565 0.1858
15 Ga 0.6696 0.6590 0.9815
16 Ge 0.0001 0.9906 0.3527
17 Ge 0.0012 0.0023 0.1481
18 Ge 0.0096 0.9936 0.6484
19 Ge 0.3282 0.3383 0.5176
20 Ge 0.3474 0.3097 0.0184
21 Ge 0.9946 0.0021 0.8520
22 P 0.0016 0.7117 0.7502
23 P 0.0452 0.6214 0.4159
24 P 0.0460 0.3281 0.9163
25 P 0.2843 0.7066 0.2493
26 P 0.2925 0.9891 0.7509
27 P 0.3400 0.0362 0.4159
28 P 0.3761 0.6609 0.5836
29 P 0.3772 0.9504 0.0836
30 P 0.6212 0.3265 0.4161
31 P 0.6275 0.0346 0.9155
32 P 0.6677 0.3698 0.0826
33 P 0.7120 0.2796 0.7491
34 P 0.7182 0.9934 0.2494
35 P 0.9614 0.3682 0.5833
36 P 0.9973 0.2869 0.2508
37 S 0.3342 0.6171 0.9163
38 S 0.6683 0.9531 0.5833
39 S 0.9618 0.6608 0.0831
40 O 0.0292 0.8107 0.4096
41 O 0.0311 0.1516 0.9102
42 O 0.0374 0.7939 0.6919
43 O 0.0434 0.1597 0.1940
44 O 0.1236 0.4982 0.3603
45 O 0.1249 0.3626 0.8577
46 O 0.1474 0.4955 0.0758
47 O 0.1560 0.3458 0.5757
48 O 0.1608 0.0237 0.4105
49 O 0.1642 0.5410 0.4742
50 O 0.1673 0.0362 0.6937
51 O 0.1666 0.7936 0.1917
52 O 0.1668 0.8012 0.9115
53 O 0.1685 0.2915 0.9739
54 O 0.1701 0.5207 0.7560
55 O 0.1725 0.2975 0.2560
56 O 0.1824 0.8323 0.5909
57 O 0.1837 0.9714 0.0909
58 O 0.2048 0.8327 0.3068
59 O 0.2053 0.9562 0.8085
60 O 0.2923 0.1648 0.4729
61 O 0.2976 0.5383 0.9729
62 O 0.3030 0.5203 0.2551
63 O 0.3039 0.1641 0.7556
64 O 0.3536 0.1455 0.0766
65 O 0.3579 0.4873 0.5758
66 O 0.3662 0.5070 0.8612
67 O 0.3688 0.1168 0.3573
68 O 0.4526 0.7014 0.5262
69 O 0.4585 0.8352 0.0266
70 O 0.4719 0.6946 0.2444
71 O 0.4793 0.8218 0.7438
72 O 0.4901 0.8776 0.1422
73 O 0.4925 0.3523 0.0748
74 O 0.4915 0.6242 0.6407
75 O 0.4964 0.6367 0.9226
76 O 0.5022 0.1379 0.5767
77 O 0.5063 0.8496 0.4239
78 O 0.5083 0.3624 0.3594
79 O 0.5104 0.1196 0.8594
80 O 0.5246 0.2994 0.7559
81 O 0.5276 0.1613 0.2549
82 O 0.5415 0.2876 0.4749
83 O 0.5497 0.1570 0.9738
84 O 0.6305 0.4844 0.1404
85 O 0.6338 0.8772 0.6389
86 O 0.6465 0.8481 0.9244
87 O 0.6513 0.4900 0.4231
88 O 0.6961 0.8248 0.2433
89 O 0.7006 0.4659 0.7440
90 O 0.7037 0.8423 0.5281
91 O 0.7069 0.4479 0.0256
92 O 0.7992 0.1597 0.6917
93 O 0.8016 0.0295 0.1916
94 O 0.8172 0.1549 0.4106
95 O 0.8198 0.0183 0.9097
96 O 0.8288 0.4724 0.2438
97 O 0.8332 0.6885 0.7438
98 O 0.8344 0.9729 0.5896
99 O 0.8353 0.9575 0.3075
100 O 0.8370 0.2018 0.8064
101 O 0.8387 0.1760 0.0905
102 O 0.8486 0.4471 0.5253
103 O 0.8514 0.6963 0.0281
104 O 0.8572 0.6391 0.4250
105 O 0.8575 0.4951 0.9241
106 O 0.8845 0.4834 0.6415
107 O 0.8856 0.6260 0.1387
108 O 0.9648 0.2021 0.3097
109 O 0.9660 0.8296 0.8082
110 O 0.9794 0.1764 0.5908
111 O 0.9812 0.8266 0.0897

no.,uncorrected energy (eV/atom),energy of formation (eV per atom),energy with MP2020 corrections (eV per atom)
1,-6.3943,-2.18,-6.865
2,-6.5432,-2.42,-6.989